1.
DFT (PBE) results for a geometry-optimized Rb3LaBr6 structure.

Properties
Energy above the most stable polymorph in this dataset = 0.0 meV/atom
V = 41.296 Å³/atom
SG = P2_1/c
Energy of formation from the pure elements = -2213 meV per atom
Calculated total energy = -146.484 eV/cell

Cell and atoms, written as extended XYZ:
```
40
Lattice="8.601 0.000 0.000 0.000 13.900 0.000 0.000 4.629 13.817" Properties=species:S:1:pos:R:3 pbc="T T T"
Br 7.359 6.548 6.900
La 0.000 0.000 0.000
Rb 3.717 11.667 9.406
Br 1.539 12.345 1.939
Br 1.839 8.498 9.063
La 0.000 9.265 6.908
Br 3.059 5.030 6.917
Rb 8.017 13.812 4.411
Rb 4.605 2.418 1.348
Rb 8.296 9.368 1.348
Br 0.004 16.119 12.147
Br 6.772 6.112 1.423
La 4.300 2.314 6.908
Br 1.828 12.418 12.393
Br 4.297 9.169 12.147
Rb 4.884 6.862 4.411
Br 2.762 5.395 1.939
Br 7.062 6.184 11.877
Br 5.839 13.134 11.877
Rb 3.739 11.666 4.372
Rb 3.995 16.112 12.469
Br 6.129 13.062 1.423
Rb 0.562 4.716 4.372
Br 6.139 3.081 4.754
Br 1.241 11.981 6.917
Br 6.762 10.031 4.754
Br 1.807 8.477 4.726
Br 8.597 2.410 1.670
Br 4.304 9.361 1.670
Br 5.542 13.499 6.900
Br 6.107 3.102 9.091
Rb 0.583 4.717 9.406
Rb 8.039 13.813 9.445
Rb 0.305 9.161 12.469
Br 6.794 10.052 9.091
Rb 4.862 6.863 9.445
Br 2.462 15.449 9.063
Br 2.494 15.427 4.726
La 4.300 6.950 0.000
Br 2.472 5.467 12.393
```

***

2.
DFT (PBE) results for a geometry-optimized SrMgIn3 structure.

Properties
V = 28.864 Å³/atom
SG = I-4m2
Energy of formation from the pure elements = -303 meV per atom
Calculated total energy = -13.061 eV/cell

Cell and atoms, written as extended XYZ:
```
5
Lattice="-2.810 2.904 2.470 -0.688 -3.404 3.220 6.844 2.358 0.472" Properties=species:S:1:pos:R:3 pbc="T T T"
Sr 0.000 0.000 0.000
In 2.203 -0.648 3.269
In 3.964 1.640 2.581
In -0.619 0.218 3.581
Mg 1.142 2.506 2.893
```

***

3.
DFT (PBE) results for a geometry-optimized MgO structure.

Properties
V = 13.970 Å³/atom
SG = Cm
Energy of formation from the pure elements = -2900 meV per atom
Size of the total moment = 0.0 μB/f.u.
Calculated total energy = -139.930 eV/cell

Cell and atoms, written as extended XYZ:
```
24
Lattice="1.737 12.775 0.000 -1.737 12.775 0.000 0.000 0.580 7.555" Properties=species:S:1:pos:R:3 pbc="T T T"
Mg 0.000 0.730 5.588
Mg 0.000 11.255 6.196
Mg 0.000 22.068 4.056
Mg 0.000 17.590 0.553
Mg 0.000 18.611 4.739
O 0.000 23.542 2.679
O 0.000 20.184 3.451
Mg 0.000 14.340 3.344
O 0.000 5.497 1.214
O 0.000 2.322 4.097
O 0.000 9.851 4.838
O 0.000 15.947 1.842
Mg 0.000 6.763 2.707
O 0.000 2.145 7.023
Mg 0.000 11.412 3.356
O 0.000 17.390 6.309
O 0.000 24.638 6.928
Mg 0.000 14.531 0.419
O 0.000 12.846 4.785
Mg 0.000 24.824 1.172
O 0.000 5.194 4.091
Mg 0.000 3.697 5.678
O 0.000 12.988 1.765
Mg 0.000 3.814 2.638
```

***

4.
DFT (PBE) results for a geometry-optimized UHg4As2Cl6 structure.

Properties
V = 33.292 Å³/atom
SG = Pbca
Energy of formation from the pure elements = -1168 meV per atom
Size of the total moment = 1.7 μB/f.u.
Calculated total energy = -355.310 eV/cell

Cell and atoms, written as extended XYZ:
```
104
Lattice="-5.473 3.329 -12.404 -13.060 -2.211 5.169 -0.898 16.720 4.883" Properties=species:S:1:pos:R:3 pbc="T T T"
Cl -10.006 14.452 -0.045
As -13.785 2.308 -2.126
As -13.803 14.076 3.596
Cl -9.846 8.247 4.008
Cl -9.426 3.386 -2.307
Cl -6.507 7.405 -6.710
As -3.111 6.181 1.446
U -1.325 2.552 -1.872
Cl -12.293 7.495 -7.795
Cl -7.039 3.762 0.444
As -5.628 3.762 -5.948
Cl -3.362 7.141 -4.938
Cl -13.187 6.391 -4.467
Hg -6.895 13.688 -1.525
Cl -7.138 10.343 5.443
Hg -3.931 -0.533 1.249
Cl -18.937 14.807 -2.902
Cl -7.402 0.205 1.313
Cl -14.134 7.502 6.241
Cl -6.484 1.127 -2.144
Cl -12.029 17.633 -3.665
As -6.787 6.901 -2.039
As -8.158 11.770 -2.683
Hg -10.464 11.600 -1.531
Cl -5.683 15.073 -4.975
Hg -4.887 6.614 -0.347
Cl -6.244 11.447 2.115
Cl -10.328 2.437 1.066
As -11.273 6.068 0.331
As -13.791 3.650 -7.063
U -11.028 16.058 -1.823
Hg -8.968 6.239 -0.822
Cl -2.979 16.876 3.653
As -9.314 4.666 -9.379
Hg -13.739 4.064 5.749
Cl -13.749 2.765 2.623
As -12.644 10.938 -0.314
Cl -9.628 11.899 3.256
Cl -15.784 14.388 -1.176
U -11.384 7.987 -5.405
Cl -9.803 5.939 -5.608
U -8.403 1.780 -0.529
Cl -2.209 2.124 -4.303
Hg -7.918 13.485 5.708
Hg -12.960 -0.119 -1.828
Hg -15.500 18.371 -3.601
Hg -11.174 5.361 2.790
Cl -5.276 10.349 -4.941
Cl -10.720 16.507 3.493
As -10.117 13.172 7.027
As -16.320 11.657 -3.798
Cl -13.017 9.980 -5.102
Cl -15.155 7.902 -1.598
Cl -8.941 9.421 0.625
As -5.640 14.189 4.711
Cl -8.711 1.331 -5.845
Cl -2.919 12.896 1.077
Hg -3.291 8.011 3.259
Cl -16.513 4.943 -3.429
Cl -10.490 8.418 -2.978
Cl -12.053 -0.563 2.618
U -4.305 8.760 -6.748
As -11.257 4.543 5.215
Hg -12.027 13.653 5.392
Cl -5.297 10.336 -8.593
Cl -7.378 18.401 -4.970
Cl -0.494 3.031 0.550
Hg -8.258 12.477 -5.142
Cl -16.452 0.962 -6.006
Hg -11.514 4.353 -8.060
Hg -15.270 5.754 -7.047
Hg -16.285 2.178 -1.490
Cl -17.222 15.714 1.951
Cl -3.647 3.451 -1.177
Hg -6.472 17.957 -0.524
Cl -14.155 7.490 2.589
Hg -14.544 11.224 -2.006
Hg -16.141 9.827 -5.612
Cl -16.069 10.698 2.586
Hg -5.741 14.906 2.255
Hg -4.162 12.084 4.695
Cl -9.103 15.401 -3.419
Cl -9.586 9.591 -6.360
Hg -7.404 4.186 -7.744
Hg -15.894 14.084 -4.536
Hg -5.692 13.774 -8.101
Cl -4.276 9.937 -0.754
Hg -3.146 15.660 -0.862
Hg -13.690 2.932 -4.607
U -15.126 9.079 4.395
U -18.106 15.286 -0.480
Hg -12.536 4.150 -0.827
Cl -12.392 14.076 -2.797
Cl -6.414 7.858 2.749
Cl -12.947 16.711 -0.208
Hg -13.161 12.480 1.684
Cl -12.925 10.433 4.358
Hg -12.319 8.425 0.182
As -5.647 15.530 -0.226
As -8.174 13.296 -7.567
U -8.048 9.851 3.053
Hg -7.112 9.413 -2.535
Hg -6.270 5.358 -4.036
Hg -3.537 3.754 2.184
```

***

5.
DFT (PBE) results for a geometry-optimized Ta4Ag2O11 structure.

Properties
V = 12.485 Å³/atom
SG = R-3c
Energy of formation from the pure elements = -2797 meV per atom
Calculated total energy = -295.048 eV/cell

Cell and atoms, written as extended XYZ:
```
34
Lattice="12.586 -3.137 0.000 12.586 3.137 0.000 11.805 0.000 5.376" Properties=species:S:1:pos:R:3 pbc="T T T"
O 13.708 1.510 0.342
Ta 15.147 0.854 4.032
O 23.811 -0.661 1.315
O 13.167 0.661 4.061
Ta 15.644 1.141 0.612
O 9.440 0.783 0.002
O 23.435 2.170 3.903
O 15.039 0.000 2.187
Ta 21.831 -0.854 1.344
Ta 21.547 1.995 3.300
O 27.538 -0.783 5.374
O 33.528 0.000 4.875
O 17.368 -1.627 2.347
Ag 24.828 0.000 3.610
O 19.610 1.627 3.030
O 17.127 0.661 4.003
O 17.532 0.967 1.214
Ta 15.431 -1.995 2.076
O 3.450 0.000 0.502
O 27.733 1.566 4.032
Ta 18.489 0.000 2.688
O 21.939 0.000 3.190
Ta 21.334 -1.141 4.764
O 9.244 -1.566 1.344
O 19.445 -0.967 4.162
O 9.049 0.783 2.686
O 23.270 -1.510 5.035
Ag 12.150 0.000 1.766
Ta 0.000 0.000 0.000
O 27.928 -0.783 2.690
Ag 6.339 0.000 0.922
O 13.543 -2.170 1.474
O 19.851 -0.661 1.373
Ag 30.638 0.000 4.455
```

***

6.
DFT (PBE) results for a geometry-optimized MgSn2O4 structure.

Properties
Energy above the most stable polymorph in this dataset = 52.9 meV/atom
V = 14.349 Å³/atom
SG = P2_1/c
Energy of formation from the pure elements = -2092 meV per atom
Size of the total moment = 0.0 μB/f.u.
Calculated total energy = -165.218 eV/cell

Cell and atoms, written as extended XYZ:
```
28
Lattice="10.757 0.000 0.000 0.000 3.177 0.000 0.000 2.815 11.758" Properties=species:S:1:pos:R:3 pbc="T T T"
O 10.494 2.380 1.140
O 5.642 3.787 7.019
O 0.548 2.121 7.771
Mg 1.734 3.715 8.116
O 10.209 3.870 3.986
O 4.830 0.714 1.893
O 7.592 3.795 3.153
O 2.213 0.789 2.726
Sn 4.094 2.783 10.441
O 8.330 3.615 11.317
Sn 9.473 4.616 7.196
Sn 6.523 3.798 4.983
Sn 1.144 0.786 0.896
Mg 7.113 3.684 9.521
O 2.428 2.376 0.440
Sn 4.234 2.193 6.775
Mg 9.023 2.276 3.642
O 5.116 2.205 4.739
Mg 3.645 2.308 2.237
Sn 6.663 3.208 1.317
O 7.806 2.208 5.439
O 2.951 3.784 6.319
O 8.544 5.203 9.032
O 3.165 2.196 8.604
Sn 1.284 1.376 4.562
Sn 9.613 5.206 10.862
O 5.927 5.278 9.865
O 0.263 3.612 10.618
```

***

7.
DFT (PBE) results for a geometry-optimized PtF4 structure.

Properties
Energy above the most stable polymorph in this dataset = 34.7 meV/atom
V = 13.724 Å³/atom
SG = P1
Energy of formation from the pure elements = -1533 meV per atom
Size of the total moment = 0.0 μB/f.u.
Calculated total energy = -39.094 eV/cell

Cell and atoms, written as extended XYZ:
```
10
Lattice="6.554 1.290 1.135 2.209 3.563 3.848 3.483 -3.055 3.153" Properties=species:S:1:pos:R:3 pbc="T T T"
F 4.910 0.982 2.468
F 5.897 2.883 4.488
F 6.299 -1.158 4.049
F 4.540 0.592 5.514
F 7.270 0.763 5.926
F 8.942 2.896 4.819
F 3.252 -1.067 3.401
Pt 3.073 0.472 2.012
F 7.706 1.151 2.878
Pt 9.999 -1.760 4.273
```

***

8.
DFT (PBE) results for a geometry-optimized LiAlSi2O6 structure.

Properties
Energy above the most stable polymorph in this dataset = 33.0 meV/atom
V = 10.061 Å³/atom
SG = C2/c
Energy of formation from the pure elements = -3195 meV per atom
Size of the total moment = 0.0 μB/f.u.
Calculated total energy = -148.034 eV/cell

Cell and atoms, written as extended XYZ:
```
20
Lattice="4.236 4.811 0.000 -4.236 4.811 0.000 0.000 1.858 4.937" Properties=species:S:1:pos:R:3 pbc="T T T"
O -2.256 3.892 0.988
Si 0.791 8.207 3.742
O 0.703 9.762 3.164
O -0.149 7.255 2.789
Li -1.944 6.204 3.703
O 0.149 4.224 2.148
Si -0.791 3.272 1.195
O 2.256 7.587 3.949
O 2.256 4.820 3.457
O 0.149 6.326 0.320
Al 3.435 6.204 3.703
Si -0.791 7.278 1.274
O -2.256 6.658 1.480
O -0.703 1.717 1.773
Al -3.435 5.275 1.234
O 0.703 2.645 4.241
O -0.703 8.833 0.696
O -0.149 5.152 4.617
Li 1.944 5.275 1.234
Si 0.791 4.201 3.663
```

***

9.
DFT (PBE) results for a geometry-optimized PtBr3N2 structure.

Properties
Energy above the most stable polymorph in this dataset = 238.2 meV/atom
V = 43.589 Å³/atom
SG = Pmmn
Energy of formation from the pure elements = 1227 meV per atom
Size of the total moment = 4.0 μB/f.u.
Calculated total energy = -78.285 eV/cell

Cell and atoms, written as extended XYZ:
```
24
Lattice="-3.948 0.083 -7.771 -4.684 -7.131 2.303 -9.736 8.020 5.031" Properties=species:S:1:pos:R:3 pbc="T T T"
Pt -1.210 0.997 0.625
Br -9.178 7.560 4.743
N -11.744 5.120 1.132
N -13.896 1.842 2.190
Pt -7.970 -0.514 -0.845
Br -9.098 -0.491 -3.068
Br -6.840 -0.539 1.377
Br -8.902 5.070 -2.405
Br -13.954 3.518 -0.530
N -2.308 -0.624 1.166
N -8.913 -1.964 -0.382
Br -2.980 2.455 1.540
Br -4.046 1.061 -4.943
Pt -12.842 3.499 1.672
N -9.822 -0.672 4.983
Br -4.873 -3.065 -2.446
N -4.839 -4.478 2.411
Pt -6.081 5.009 3.143
Br -11.072 2.041 0.758
Br -11.719 3.471 3.870
N -7.015 0.926 -1.315
Br -2.333 1.025 -1.572
Br -7.212 5.034 0.921
N -7.037 3.570 3.613
```

***

10.
DFT (PBE) results for a geometry-optimized CrN2 structure.

Properties
V = 20.977 Å³/atom
SG = Ama2
Energy of formation from the pure elements = -115 meV per atom
Size of the total moment = 0.0 μB/f.u.
Calculated total energy = -103.801 eV/cell

Cell and atoms, written as extended XYZ:
```
12
Lattice="2.813 -4.904 0.000 2.813 4.904 0.000 0.000 0.000 9.124" Properties=species:S:1:pos:R:3 pbc="T T T"
N 2.887 1.616 6.843
N 4.203 2.372 0.078
N 4.203 2.372 4.484
N 4.203 -2.372 4.640
Cr 2.793 1.628 5.121
N 2.887 -1.616 2.281
Cr 2.793 -1.628 4.003
N 2.662 0.000 0.000
Cr 2.793 1.628 8.565
Cr 2.793 -1.628 0.559
N 2.662 0.000 4.562
N 4.203 -2.372 9.046
```

***

11.
DFT (PBE) results for a geometry-optimized K2AlTlBr6 structure.

Properties
V = 36.554 Å³/atom
SG = Fm-3m
Energy of formation from the pure elements = -1586 meV per atom
Size of the total moment = 0.0 μB/f.u.
Calculated total energy = -30.811 eV/cell

Cell and atoms, written as extended XYZ:
```
10
Lattice="4.940 -3.640 5.173 -2.914 -5.287 5.288 1.627 -7.815 -0.828" Properties=species:S:1:pos:R:3 pbc="T T T"
Br 0.099 -10.997 4.619
Tl 1.827 -8.372 4.817
Br 1.938 -8.680 7.948
K 0.913 -4.186 2.408
Br 4.457 -10.083 4.555
Al 0.000 0.000 0.000
K 2.740 -12.557 7.225
Br 1.716 -8.063 1.685
Br 3.554 -5.746 5.014
Br -0.804 -6.660 5.078
```

***

12.
DFT (PBE) results for a geometry-optimized Mg6SiCO8 structure.

Properties
Energy above the most stable polymorph in this dataset = 129.4 meV/atom
V = 9.754 Å³/atom
SG = P4/mmm
Energy of formation from the pure elements = -2133 meV per atom
Size of the total moment = 0.4 μB/f.u.
Calculated total energy = -92.469 eV/cell

Cell and atoms, written as extended XYZ:
```
16
Lattice="8.518 0.000 0.000 0.000 4.280 0.000 0.000 0.000 4.280" Properties=species:S:1:pos:R:3 pbc="T T T"
O 4.259 2.140 0.000
O 6.339 2.140 2.140
Si 0.000 0.000 0.000
O 0.000 2.140 0.000
Mg 6.422 2.140 0.000
O 2.097 0.000 0.000
O 6.421 0.000 0.000
O 4.259 0.000 2.140
O 0.000 0.000 2.140
O 2.179 2.140 2.140
Mg 4.259 0.000 0.000
Mg 2.096 2.140 0.000
Mg 6.422 0.000 2.140
Mg 4.259 2.140 2.140
C 0.000 2.140 2.140
Mg 2.096 0.000 2.140
```